The following is a DFT calculation (PBE) of crystalline KRu2C4Cl2O8 at its relaxed geometry.

Output
For the MP2020-corrected energy, the calculation gives -464.54 eV for the cell shown. The formation energy from the elements is -22.1 kcal/mol of atoms. The value obtained for the spin magnetization is 12.089 μB per cell.

a b c (Å): 11.9201 11.9201 9.9790
angles (deg): 90.00 90.00 90.00
With the nearest neighbours (Å) after each atom.
Element x y z (fractional)
1 K 0.0000 0.5000 0.0362  2 O 2.81
2 K 0.0000 0.5000 0.5362  2 O 2.81
3 K 0.5000 0.0000 0.4638  2 O 2.81
4 K 0.5000 0.0000 0.9638  2 O 2.81
5 Ru 0.2274 0.6523 0.2651  4 O 2.15-2.16
6 Ru 0.7726 0.3477 0.2651  4 O 2.15-2.16
7 Ru 0.8477 0.7274 0.7651  4 O 2.15-2.16
8 Ru 0.1523 0.2726 0.7651  4 O 2.15-2.16
9 Ru 0.2726 0.8477 0.2349  4 O 2.15-2.16
10 Ru 0.7274 0.1523 0.2349  4 O 2.15-2.16
11 Ru 0.6523 0.7726 0.7349  4 O 2.15-2.16
12 Ru 0.3477 0.2274 0.7349  4 O 2.15-2.16
13 C 0.1813 0.7938 0.4940  2 O 1.23
14 C 0.8187 0.2062 0.4940  2 O 1.23
15 C 0.7062 0.6813 0.9940  2 O 1.23
16 C 0.2938 0.3187 0.9940  2 O 1.23
17 C 0.3187 0.7062 0.0060  2 O 1.23
18 C 0.6813 0.2938 0.0060  2 O 1.23
19 C 0.7938 0.8187 0.5060  2 O 1.23
20 C 0.2062 0.1813 0.5060  2 O 1.23
21 C 0.4505 0.7113 0.3461  2 O 1.23-1.24
22 C 0.5495 0.2887 0.3461  2 O 1.23-1.24
23 C 0.7887 0.9505 0.8461  2 O 1.23-1.24
24 C 0.2113 0.0495 0.8461  2 O 1.23-1.24
25 C 0.0495 0.7887 0.1539  2 O 1.23-1.24
26 C 0.9505 0.2113 0.1539  2 O 1.23-1.24
27 C 0.7113 0.5495 0.6539  2 O 1.23-1.24
28 C 0.2887 0.4505 0.6539  2 O 1.23-1.24
29 Cl 0.1800 0.4520 0.3045  1 Ru 2.49
30 Cl 0.8200 0.5480 0.3045  1 Ru 2.49
31 Cl 0.0480 0.6800 0.8045  1 Ru 2.49
32 Cl 0.9520 0.3200 0.8045  1 Ru 2.49
33 Cl 0.3200 0.0480 0.1955  1 Ru 2.49
34 Cl 0.6800 0.9520 0.1955  1 Ru 2.49
35 Cl 0.4520 0.8200 0.6955  1 Ru 2.49
36 Cl 0.5480 0.1800 0.6955  1 Ru 2.49
37 O 0.3934 0.6258 0.3424  1 C 1.23
38 O 0.6066 0.3742 0.3424  1 C 1.23
39 O 0.8742 0.8934 0.8424  1 C 1.23
40 O 0.1258 0.1066 0.8424  1 C 1.23
41 O 0.1066 0.8742 0.1576  1 C 1.23
42 O 0.8934 0.1258 0.1576  1 C 1.23
43 O 0.6258 0.6066 0.6576  1 C 1.23
44 O 0.3742 0.3934 0.6576  1 C 1.23
45 O 0.4365 0.8104 0.3140  1 C 1.24
46 O 0.5635 0.1896 0.3140  1 C 1.24
47 O 0.6896 0.9365 0.8140  1 C 1.24
48 O 0.3104 0.0635 0.8140  1 C 1.24
49 O 0.0635 0.6896 0.1860  1 C 1.24
50 O 0.9365 0.3104 0.1860  1 C 1.24
51 O 0.8104 0.5635 0.6860  1 C 1.24
52 O 0.1896 0.4365 0.6860  1 C 1.24
53 O 0.1706 0.6940 0.4646  1 C 1.23
54 O 0.8294 0.3060 0.4646  1 C 1.23
55 O 0.8060 0.6706 0.9646  1 C 1.23
56 O 0.1940 0.3294 0.9646  1 C 1.23
57 O 0.3294 0.8060 0.0354  1 C 1.23
58 O 0.6706 0.1940 0.0354  1 C 1.23
59 O 0.6940 0.8294 0.5354  1 C 1.23
60 O 0.3060 0.1706 0.5354  1 C 1.23
61 O 0.2847 0.6215 0.0636  1 C 1.23
62 O 0.7153 0.3785 0.0636  1 C 1.23
63 O 0.8785 0.7847 0.5636  1 C 1.23
64 O 0.1215 0.2153 0.5636  1 C 1.23
65 O 0.2153 0.8785 0.4364  1 C 1.23
66 O 0.7847 0.1215 0.4364  1 C 1.23
67 O 0.6215 0.7153 0.9364  1 C 1.23
68 O 0.3785 0.2847 0.9364  1 C 1.23

=====

The following is a DFT calculation (PBE) of crystalline MgMoW3Se6S2 at its relaxed geometry.

Output
For the MP2020-corrected energy, the calculation gives -88.57 eV for the cell shown. The formation energy from the elements is -14.2 kcal/mol of atoms. The value obtained for the relative energy among the computed polymorphs is 0.019 eV/atom. The value obtained for the spin magnetization is 0.000 μB per cell.

a b c (Å): 3.2868 3.2867 37.8652
angles (deg): 90.00 90.00 120.00
With the nearest neighbours (Å) after each atom.
Element x y z (fractional)
1 Mg 0.4361 0.5864 0.8729  6 Mg 3.29
2 Mo 0.6667 0.3334 0.2818  6 Se 2.54
3 W 0.3333 0.6666 0.0939  6 Se 2.54
4 W 0.3333 0.6666 0.4697  6 S 2.44
5 W 0.6667 0.3334 0.6575  6 Se 2.54
6 Se 0.3334 0.6667 0.3263  3 Mo 2.54
7 Se 0.3334 0.6667 0.7023  3 W 2.54
8 Se 0.6666 0.3333 0.0492  3 W 2.54
9 Se 0.6666 0.3333 0.1386  3 W 2.54
10 Se 0.3334 0.6667 0.2373  3 Mo 2.54
11 Se 0.3334 0.6667 0.6128  3 W 2.54
12 S 0.6666 0.3333 0.4290  3 W 2.44
13 S 0.6666 0.3333 0.5103  3 W 2.44

=====

The following is a DFT calculation (PBE) of crystalline TbNiAs at its relaxed geometry.

Output
The formation energy from the elements is -24.3 kcal/mol of atoms.

a b c (Å): 4.0612 4.0612 3.8949
angles (deg): 90.00 90.00 120.00
With the nearest neighbours (Å) after each atom.
Element x y z (fractional)
1 Tb 0.3333 0.6667 0.5000  6 Ni 3.05, 6 As 3.05
2 Ni 0.6667 0.3333 0.0000  3 As 2.34
3 As 0.0000 0.0000 0.0000  3 Ni 2.34